one | The following is a PBE calculation of a relaxed BaB2O4 crystal, from Materials Project.

Unit cell a=9.160 b=25.629 c=7.715 alpha=90.00 beta=95.37 gamma=90.00
Space group Cc (No. 9)
One atom of each set of equivalent atoms:
Ba (0.000, 0.172, 0.000) (multiplicity 4)
Ba (0.071, 0.305, 0.816) (multiplicity 4)
Ba (0.384, 0.177, 0.744) (multiplicity 4)
B (0.225, 0.034, 0.685) (multiplicity 4)
B (0.234, 0.455, 0.419) (multiplicity 4)
B (0.260, 0.398, 0.156) (multiplicity 4)
B (0.272, 0.084, 0.407) (multiplicity 4)
B (0.280, 0.106, 0.180) (multiplicity 4)
B (0.332, 0.404, 0.872) (multiplicity 4)
O (0.162, 0.109, 0.304) (multiplicity 4)
O (0.166, 0.361, 0.119) (multiplicity 4)
O (0.177, 0.488, 0.508) (multiplicity 4)
O (0.182, 0.003, 0.790) (multiplicity 4)
O (0.182, 0.222, 0.852) (multiplicity 4)
O (0.274, 0.070, 0.583) (multiplicity 4)
O (0.277, 0.119, 0.019) (multiplicity 4)
O (0.297, 0.420, 0.326) (multiplicity 4)
O (0.304, 0.387, 0.722) (multiplicity 4)
O (0.360, 0.418, 0.035) (multiplicity 4)
O (0.392, 0.086, 0.310) (multiplicity 4)
O (0.403, 0.238, 0.501) (multiplicity 4)

Values from the calculation:
Magnetic moment ... 0.01 μB/cell
Volume ... 21.47 A^3/atom

two | The following is a PBE calculation of a relaxed BaB2O4 crystal, from Materials Project.

Unit cell a=7.3260 b=7.3260 c=40.1533 alpha=90.00 beta=90.00 gamma=120.00
Space group R-3c (No. 167, hexagonal axes)
One atom of each set of equivalent atoms:
Ba (0.0000, 0.0000, 0.1510) (multiplicity 12)
Ba (0.0000, 0.0000, 0.2500) (multiplicity 6)
B (0.0334, 0.2102, 0.4615) (multiplicity 36)
O (0.0096, 0.2724, 0.7971) (multiplicity 36)
O (0.0323, 0.2041, 0.5396) (multiplicity 36)

Values from the calculation:
Volume ... 14.81 A^3/atom

Most stable one: two, least stable one: one.

one | The following is a PBE calculation of a relaxed Sb5IO7 crystal, from Materials Project.

Unit cell a=6.949 b=13.126 c=13.590 alpha=90.00 beta=119.64 gamma=90.00
Space group P2_1/c (No. 14)
One atom of each set of equivalent atoms:
Sb (0.038, 0.241, 0.434) (multiplicity 4)
Sb (0.319, 0.554, 0.575) (multiplicity 4)
Sb (0.331, 0.242, 0.241) (multiplicity 4)
Sb (0.335, 0.557, 0.081) (multiplicity 4)
Sb (0.358, 0.736, 0.407) (multiplicity 4)
I (0.065, 0.505, 0.756) (multiplicity 4)
O (0.032, 0.619, 0.004) (multiplicity 4)
O (0.095, 0.668, 0.497) (multiplicity 4)
O (0.333, 0.250, 0.086) (multiplicity 4)
O (0.420, 0.643, 0.221) (multiplicity 4)
O (0.480, 0.635, 0.717) (multiplicity 4)
O (0.485, 0.672, 0.042) (multiplicity 4)
O (0.488, 0.614, 0.504) (multiplicity 4)

Values from the calculation:
Magnetic moment ... 0.00 μB/cell
Volume ... 20.72 A^3/atom

two | The following is a PBE calculation of a relaxed Sb5IO7 crystal, from Materials Project.

Unit cell a=7.317 b=12.311 c=13.835 alpha=90.00 beta=104.22 gamma=90.00
Space group Pc (No. 7)
One atom of each set of equivalent atoms:
Sb (0.000, 0.174, 0.000) (multiplicity 2)
Sb (0.056, 0.227, 0.557) (multiplicity 2)
Sb (0.299, 0.414, 0.979) (multiplicity 2)
Sb (0.382, 0.278, 0.401) (multiplicity 2)
Sb (0.411, 0.204, 0.823) (multiplicity 2)
Sb (0.451, 0.039, 0.053) (multiplicity 2)
Sb (0.621, 0.266, 0.662) (multiplicity 2)
Sb (0.663, 0.307, 0.153) (multiplicity 2)
Sb (0.703, 0.055, 0.371) (multiplicity 2)
Sb (0.763, 0.435, 0.397) (multiplicity 2)
I (0.079, 0.092, 0.204) (multiplicity 2)
I (0.967, 0.442, 0.722) (multiplicity 2)
O (0.085, 0.325, 0.004) (multiplicity 2)
O (0.222, 0.108, 0.966) (multiplicity 2)
O (0.325, 0.239, 0.539) (multiplicity 2)
O (0.444, 0.405, 0.118) (multiplicity 2)
O (0.475, 0.301, 0.945) (multiplicity 2)
O (0.475, 0.338, 0.744) (multiplicity 2)
O (0.533, 0.163, 0.145) (multiplicity 2)
O (0.540, 0.147, 0.432) (multiplicity 2)
O (0.582, 0.379, 0.476) (multiplicity 2)
O (0.588, 0.071, 0.943) (multiplicity 2)
O (0.630, 0.147, 0.765) (multiplicity 2)
O (0.650, 0.319, 0.297) (multiplicity 2)
O (0.942, 0.100, 0.471) (multiplicity 2)
O (0.988, 0.344, 0.457) (multiplicity 2)

Values from the calculation:
Magnetic moment ... 0.00 μB/cell
Volume ... 23.23 A^3/atom

Most stable one: one, least stable one: two.

one | The following is a PBE calculation of a relaxed TiCrCuS4 crystal, from Materials Project.

Unit cell a=5.906 b=7.004 c=12.650 alpha=73.96 beta=86.91 gamma=89.78
Space group P1 (No. 1)
One atom of each set of equivalent atoms:
Ti (0.000, 0.000, 0.000) (multiplicity 1)
Ti (0.021, 0.544, 0.490) (multiplicity 1)
Ti (0.068, 0.033, 0.507) (multiplicity 1)
Ti (0.487, 0.299, 0.992) (multiplicity 1)
Cr (0.004, 0.530, 0.996) (multiplicity 1)
Cr (0.506, 0.789, 0.995) (multiplicity 1)
Cr (0.541, 0.789, 0.500) (multiplicity 1)
Cr (0.546, 0.285, 0.500) (multiplicity 1)
Cu (0.177, 0.505, 0.272) (multiplicity 1)
Cu (0.458, 0.028, 0.749) (multiplicity 1)
Cu (0.638, 0.023, 0.256) (multiplicity 1)
Cu (0.940, 0.503, 0.745) (multiplicity 1)
S (0.167, 0.336, 0.881) (multiplicity 1)
S (0.190, 0.837, 0.880) (multiplicity 1)
S (0.192, 0.720, 0.615) (multiplicity 1)
S (0.206, 0.221, 0.619) (multiplicity 1)
S (0.319, 0.486, 0.109) (multiplicity 1)
S (0.334, 0.974, 0.110) (multiplicity 1)
S (0.396, 0.590, 0.392) (multiplicity 1)
S (0.398, 0.099, 0.384) (multiplicity 1)
S (0.675, 0.090, 0.881) (multiplicity 1)
S (0.686, 0.484, 0.614) (multiplicity 1)
S (0.688, 0.588, 0.881) (multiplicity 1)
S (0.694, 0.979, 0.608) (multiplicity 1)
S (0.821, 0.713, 0.112) (multiplicity 1)
S (0.823, 0.223, 0.103) (multiplicity 1)
S (0.888, 0.848, 0.382) (multiplicity 1)
S (0.892, 0.330, 0.385) (multiplicity 1)

Values from the calculation:
Magnetic moment ... 12.01 μB/cell
Volume ... 17.93 A^3/atom

two | The following is a PBE calculation of a relaxed TiCrCuS4 crystal, from Materials Project.

Unit cell a=5.865 b=6.864 c=5.908 alpha=90.00 beta=92.11 gamma=90.00
Space group P2 (No. 3)
One atom of each set of equivalent atoms:
Ti (0.000, 0.000, 0.000) (multiplicity 1)
Ti (0.000, 0.266, 0.500) (multiplicity 1)
Cr (0.000, 0.502, 0.000) (multiplicity 1)
Cr (0.000, 0.763, 0.500) (multiplicity 1)
Cu (0.500, 0.006, 0.000) (multiplicity 1)
Cu (0.500, 0.510, 0.000) (multiplicity 1)
S (0.232, 0.514, 0.677) (multiplicity 2)
S (0.238, 0.009, 0.673) (multiplicity 2)
S (0.240, 0.754, 0.177) (multiplicity 2)
S (0.246, 0.260, 0.173) (multiplicity 2)

Values from the calculation:
Magnetic moment ... 6.00 μB/cell
Volume ... 16.98 A^3/atom

Most stable one: two, least stable one: one.